The following is a DFT calculation (PBE-GGA) of a relaxed structure of Cs3VSe4.

Properties
E_tot = -4.2587 eV per atom
ΔH_f (0 K) = -1275 meV/atom
Space-group type = I-43m, No. 217

```
16
Lattice="8.6945 0.0000 0.0000 0.0000 8.6945 0.0000 0.0000 0.0000 8.6945" Properties=species:S:1:pos:R:3 pbc="T T T"
Cs 0.0000 0.0000 4.3472
Cs 0.0000 4.3472 0.0000
Cs 0.0000 4.3472 4.3472
Cs 4.3472 0.0000 0.0000
Cs 4.3472 0.0000 4.3472
Cs 4.3472 4.3472 0.0000
V 0.0000 0.0000 0.0000
V 4.3472 4.3472 4.3472
Se 1.3355 1.3355 7.3590
Se 1.3355 7.3590 1.3355
Se 3.0117 3.0117 3.0117
Se 3.0117 5.6827 5.6827
Se 5.6827 3.0117 5.6827
Se 5.6827 5.6827 3.0117
Se 7.3590 1.3355 1.3355
Se 7.3590 7.3590 7.3590
```